The following is a r2SCAN calculation of a geometry-optimized MgSnPd2 structure, from Materials Project.

## Properties
The space group is Fm-3m, No. 225. For the calculated total energy, the calculation gives -19.37 eV per atom. For the energy of formation from the pure elements, the calculation gives -64.0 kJ/mol of atoms.

a = 4.5556 Å, b = 4.5556 Å, c = 4.5556 Å
α = 60.00°, β = 60.00°, γ = 60.00°
With the nearest neighbours (Å) after each atom.
Positions (direct):
Pd 0.5000 0.5000 0.5000  4 Mg 2.79, 4 Sn 2.79
Sn 0.7500 0.7500 0.7500  8 Pd 2.79
Pd 0.0000 0.0000 0.0000  4 Mg 2.79, 4 Sn 2.79
Mg 0.2500 0.2500 0.2500  8 Pd 2.79


The following is a r2SCAN calculation of a geometry-optimized BiSbPt structure, from Materials Project.

## Properties
The space group is P2_13, No. 198. For the calculated total energy, the calculation gives -45.63 eV per atom. For the energy of formation from the pure elements, the calculation gives -38.7 kJ/mol of atoms.

a = 6.6372 Å, b = 6.6371 Å, c = 6.6371 Å
α = 90.00°, β = 90.00°, γ = 90.00°
With the nearest neighbours (Å) after each atom.
Positions (direct):
Pt 0.9906 0.9906 0.9906  3 Sb 2.69, 3 Bi 2.80
Bi 0.6277 0.6277 0.6277  3 Pt 2.80, 1 Sb 2.92
Sb 0.1264 0.6264 0.8736  3 Pt 2.69, 1 Bi 2.92
Pt 0.5094 0.0094 0.4906  3 Sb 2.69, 3 Bi 2.80
Bi 0.3723 0.1277 0.8723  3 Pt 2.80, 1 Sb 2.92
Pt 0.4906 0.5094 0.0094  3 Sb 2.69, 3 Bi 2.80
Bi 0.1277 0.8723 0.3723  3 Pt 2.80, 1 Sb 2.92
Sb 0.8736 0.1264 0.6264  3 Pt 2.69, 1 Bi 2.92
Sb 0.3736 0.3736 0.3736  3 Pt 2.69, 1 Bi 2.92
Bi 0.8723 0.3723 0.1277  3 Pt 2.80, 1 Sb 2.92
Sb 0.6264 0.8736 0.1264  3 Pt 2.69, 1 Bi 2.92
Pt 0.0094 0.4906 0.5094  3 Sb 2.69, 3 Bi 2.80


The following is a r2SCAN calculation of a geometry-optimized TiBe2Pt structure, from Materials Project.

## Properties
The space group is Fm-3m, No. 225. For the calculated total energy, the calculation gives -18.90 eV per atom. For the energy of formation from the pure elements, the calculation gives -59.8 kJ/mol of atoms.

a = 4.0380 Å, b = 4.0380 Å, c = 4.0380 Å
α = 60.00°, β = 60.00°, γ = 60.00°
With the nearest neighbours (Å) after each atom.
Positions (direct):
Pt 0.5000 0.5000 0.5000  8 Be 2.47
Ti 0.0000 0.0000 0.0000  8 Be 2.47
Be 0.7500 0.7500 0.7500  4 Ti 2.47, 4 Pt 2.47
Be 0.2500 0.2500 0.2500  4 Pt 2.47, 4 Ti 2.47


The following is a r2SCAN calculation of a geometry-optimized Sm2As4O9 structure, from Materials Project.

## Properties
The space group is P-1, No. 2. For the calculated total energy, the calculation gives -13.71 eV per atom. For the energy of formation from the pure elements, the calculation gives -215.8 kJ/mol of atoms.

a = 6.8257 Å, b = 7.5855 Å, c = 9.6144 Å
α = 96.15°, β = 103.98°, γ = 104.49°
With the nearest neighbours (Å) after each atom.
Positions (direct):
Sm 0.2783 0.4677 0.5926  7 O 2.34-2.54
O 0.2756 0.2509 0.7538  1 As 1.74
As 0.3219 0.2280 0.9361  3 O 1.74-1.85
As 0.1766 0.7590 0.9183  3 O 1.73-1.85
O 0.6332 0.1038 0.6442  2 As 1.87-1.90
O 0.3726 0.5397 0.3726  1 As 1.73
O 0.3668 0.8962 0.3558  2 As 1.87-1.90
Sm 0.7519 0.0578 0.3804  8 O 2.34-2.59
O 0.8431 0.8706 0.5609  1 As 1.78
O 0.1309 0.6606 0.7382  1 As 1.73
As 0.2514 0.0793 0.2860  3 O 1.73-1.87
As 0.6781 0.7720 0.0639  3 O 1.74-1.85
O 0.9085 0.3319 0.5519  1 As 1.79
O 0.0915 0.6681 0.4481  1 As 1.79
O 0.7244 0.7491 0.2462  1 As 1.74
O 0.6274 0.4603 0.6274  1 As 1.73
O 0.3172 0.9844 0.8839  2 As 1.85
As 0.8084 0.3508 0.7069  3 O 1.73-1.90
O 0.4959 0.7744 0.6716  1 As 1.73
As 0.7486 0.9207 0.7140  3 O 1.73-1.87
O 0.3953 0.6802 0.0082  2 As 1.80-1.81
O 0.5041 0.2256 0.3284  1 As 1.73
As 0.1916 0.6492 0.2931  3 O 1.73-1.90
O 0.6047 0.3198 0.9918  2 As 1.80-1.81
Sm 0.2481 0.9422 0.6196  8 O 2.34-2.59
As 0.8234 0.2410 0.0817  3 O 1.73-1.85
Sm 0.7217 0.5323 0.4074  7 O 2.34-2.54
O 0.6828 0.0156 0.1161  2 As 1.85
O 0.8691 0.3394 0.2618  1 As 1.73
O 0.1569 0.1294 0.4391  1 As 1.78


The following is a r2SCAN calculation of a geometry-optimized Zn2PdPt structure, from Materials Project.

## Properties
The space group is Fm-3m, No. 225. For the calculated total energy, the calculation gives -23.67 eV per atom. For the energy of formation from the pure elements, the calculation gives -57.8 kJ/mol of atoms.

a = 4.3049 Å, b = 4.3049 Å, c = 4.3049 Å
α = 60.00°, β = 60.00°, γ = 60.00°
With the nearest neighbours (Å) after each atom.
Positions (direct):
Zn 0.0000 0.0000 0.0000  4 Pt 2.64, 4 Pd 2.64
Zn 0.5000 0.5000 0.5000  4 Pt 2.64, 4 Pd 2.64
Pd 0.2500 0.2500 0.2500  8 Zn 2.64
Pt 0.7500 0.7500 0.7500  8 Zn 2.64


The following is a r2SCAN calculation of a geometry-optimized Rb4Hg3Ge20 structure, from Materials Project.

## Properties
The space group is Pm-3n, No. 223. For the calculated total energy, the calculation gives -17.94 eV per atom. For the energy of formation from the pure elements, the calculation gives -10.9 kJ/mol of atoms.

a = 10.9939 Å, b = 10.9939 Å, c = 10.9939 Å
α = 90.00°, β = 90.00°, γ = 90.00°
With the nearest neighbours (Å) after each atom.
Positions (direct):
Ge 0.3168 0.3168 0.3168  4 Ge 2.51-2.54
Ge 0.3168 0.6832 0.6832  4 Ge 2.51-2.54
Rb 0.5000 0.5000 0.5000  20 Ge 3.49-3.54
Ge 0.1832 0.8168 0.1832  4 Ge 2.52-2.54
Ge 0.1988 0.3863 0.5000  3 Ge 2.50-2.51, 1 Hg 2.65
Hg 0.5000 0.0000 0.2500  4 Ge 2.65
Rb 0.5000 0.7500 0.0000  16 Ge 3.73-4.09, 4 Hg 3.89
Ge 0.8863 0.3012 0.0000  3 Ge 2.50-2.52, 1 Hg 2.65
Hg 0.0000 0.7500 0.5000  4 Ge 2.65
Ge 0.6988 0.0000 0.1137  3 Ge 2.50-2.52, 1 Hg 2.65
Ge 0.3168 0.3168 0.6832  4 Ge 2.51-2.54
Ge 0.8168 0.1832 0.8168  4 Ge 2.52-2.54
Rb 0.5000 0.2500 0.0000  16 Ge 3.73-4.09, 4 Hg 3.89
Rb 0.7500 0.0000 0.5000  16 Ge 3.73-4.09, 4 Hg 3.89
Ge 0.3012 0.0000 0.1137  3 Ge 2.50-2.52, 1 Hg 2.65
Ge 0.6832 0.6832 0.3168  4 Ge 2.51-2.54
Hg 0.2500 0.5000 0.0000  4 Ge 2.65
Ge 0.0000 0.1137 0.3012  3 Ge 2.50-2.52, 1 Hg 2.65
Ge 0.5000 0.8012 0.6137  3 Ge 2.50-2.51, 1 Hg 2.65
Ge 0.8012 0.3863 0.5000  3 Ge 2.50-2.51, 1 Hg 2.65
Rb 0.2500 0.0000 0.5000  16 Ge 3.73-4.09, 4 Hg 3.89
Ge 0.6832 0.6832 0.6832  4 Ge 2.51-2.54
Ge 0.6137 0.5000 0.1988  3 Ge 2.50-2.51, 1 Hg 2.65
Ge 0.1832 0.1832 0.8168  4 Ge 2.52-2.54
Ge 0.8863 0.6988 0.0000  3 Ge 2.50-2.52, 1 Hg 2.65
Ge 0.6988 0.0000 0.8863  3 Ge 2.50-2.52, 1 Hg 2.65
Ge 0.0000 0.1137 0.6988  3 Ge 2.50-2.52, 1 Hg 2.65
Ge 0.6832 0.3168 0.3168  4 Ge 2.51-2.54
Ge 0.0000 0.8863 0.3012  3 Ge 2.50-2.52, 1 Hg 2.65
Hg 0.0000 0.2500 0.5000  4 Ge 2.65
Rb 0.0000 0.0000 0.0000  20 Ge 3.49-3.54
Ge 0.3863 0.5000 0.1988  3 Ge 2.50-2.51, 1 Hg 2.65
Ge 0.6137 0.5000 0.8012  3 Ge 2.50-2.51, 1 Hg 2.65
Ge 0.5000 0.8012 0.3863  3 Ge 2.50-2.51, 1 Hg 2.65
Ge 0.1832 0.8168 0.8168  4 Ge 2.52-2.54
Ge 0.0000 0.8863 0.6988  3 Ge 2.50-2.52, 1 Hg 2.65
Ge 0.3863 0.5000 0.8012  3 Ge 2.50-2.51, 1 Hg 2.65
Ge 0.3168 0.6832 0.3168  4 Ge 2.51-2.54
Ge 0.1137 0.6988 0.0000  3 Ge 2.50-2.52, 1 Hg 2.65
Ge 0.8168 0.1832 0.1832  4 Ge 2.52-2.54
Ge 0.8168 0.8168 0.8168  4 Ge 2.52-2.54
Hg 0.5000 0.0000 0.7500  4 Ge 2.65
Ge 0.3012 0.0000 0.8863  3 Ge 2.50-2.52, 1 Hg 2.65
Ge 0.1137 0.3012 0.0000  3 Ge 2.50-2.52, 1 Hg 2.65
Ge 0.8012 0.6137 0.5000  3 Ge 2.50-2.51, 1 Hg 2.65
Rb 0.0000 0.5000 0.7500  16 Ge 3.73-4.09, 4 Hg 3.89
Ge 0.1988 0.6137 0.5000  3 Ge 2.50-2.51, 1 Hg 2.65
Hg 0.7500 0.5000 0.0000  4 Ge 2.65
Ge 0.5000 0.1988 0.3863  3 Ge 2.50-2.51, 1 Hg 2.65
Rb 0.0000 0.5000 0.2500  16 Ge 3.73-4.09, 4 Hg 3.89
Ge 0.8168 0.8168 0.1832  4 Ge 2.52-2.54
Ge 0.1832 0.1832 0.1832  4 Ge 2.52-2.54
Ge 0.6832 0.3168 0.6832  4 Ge 2.51-2.54
Ge 0.5000 0.1988 0.6137  3 Ge 2.50-2.51, 1 Hg 2.65